# 1
First-principles (PBE) data for a relaxed ReTcPb2O6 crystal, as listed in the Materials Project.

## Properties
total energy after the MP2020 corrections	-7.58	eV/atom
DFT total energy	-7.171	eV/atom
energy of formation	-1535	kJ/mol of formula units
crystal system	cubic
calculated volume	13.0	Å³/atom

```
10
Lattice="0.000 4.018 4.018 4.018 0.000 4.018 4.018 4.018 0.000" Properties=species:S:1:pos:R:3 pbc="T T T"
O 4.018 5.996 4.018
O 5.996 4.018 4.018
O 4.018 2.041 4.018
O 4.018 4.018 5.996
O 4.018 4.018 2.041
O 2.041 4.018 4.018
Tc 0.000 0.000 0.000
Pb 2.009 2.009 2.009
Pb 6.027 6.027 6.027
Re 4.018 4.018 4.018
```


# 2
First-principles (PBE) data for a relaxed LaF3 crystal, as listed in the Materials Project.

## Properties
total energy after the MP2020 corrections	-7.14	eV/atom
DFT total energy	-6.794	eV/atom
energy of formation	-1725	kJ/mol of formula units
crystal system	hexagonal
calculated volume	14.0	Å³/atom

```
8
Lattice="2.096 -3.631 0.000 2.096 3.631 0.000 0.000 0.000 7.378" Properties=species:S:1:pos:R:3 pbc="T T T"
F 0.000 0.000 1.844
F 2.096 1.210 4.269
F 2.096 -1.210 3.109
F 2.096 1.210 6.798
F 0.000 0.000 5.533
F 2.096 -1.210 0.580
La 2.096 1.210 1.844
La 2.096 -1.210 5.533
```


# 3
First-principles (PBE) data for a relaxed LiCeMg6 crystal, as listed in the Materials Project.

## Properties
ΔE to the lowest computed polymorph	10	meV per atom
DFT total energy	-2.086	eV/atom
energy of formation	73	kJ/mol of formula units
crystal system	orthorhombic
calculated volume	25.8	Å³/atom

```
8
Lattice="6.752 -0.014 0.000 -3.388 5.869 0.000 0.000 0.000 5.213" Properties=species:S:1:pos:R:3 pbc="T T T"
Mg 0.046 3.844 3.910
Mg 3.342 3.886 3.910
Mg 1.695 4.764 1.303
Mg 3.280 2.020 1.303
Mg 1.658 1.052 3.910
Mg 5.048 0.958 3.910
Li 0.047 1.983 1.303
Ce -1.659 4.911 1.303
```


# 4
First-principles (PBE) data for a relaxed Te4MoW3Se2S2 crystal, as listed in the Materials Project.

## Properties
ΔE to the lowest computed polymorph	35	meV per atom
total energy after the MP2020 corrections	-6.89	eV/atom
DFT total energy	-6.801	eV/atom
energy of formation	-489	kJ/mol of formula units
crystal system	trigonal
calculated volume	32.4	Å³/atom

```
12
Lattice="-0.685 -0.033 3.333 -0.866 -2.657 -1.942 34.486 -16.295 6.924" Properties=species:S:1:pos:R:3 pbc="T T T"
Se 0.961 -2.617 0.171
Se 3.905 -4.008 0.762
W 3.238 -1.530 0.650
W 8.914 -6.375 1.768
W 21.871 -12.497 4.369
Te 24.351 -11.506 4.889
Te 21.000 -9.922 4.216
Te 11.394 -5.383 2.288
Te 8.045 -3.801 1.615
S 16.726 -10.066 3.336
S 14.057 -8.805 2.801
Mo 16.197 -7.653 3.252
```